Crystalline ZrGe2Rh at its relaxed geometry. Source: Materials Project, functional r²SCAN.

The structure in POSCAR format:
```
ZrGe2Rh
1.0
9.363 0.000 0.000
0.000 10.558 0.000
0.000 0.000 8.001
Zr Ge Rh
12 24 12
Cartesian
1.528 1.922 0.000 Zr
1.596 4.776 1.966 Zr
1.596 4.776 6.034 Zr
3.086 10.055 1.966 Zr
3.086 10.055 6.034 Zr
3.154 7.201 0.000 Zr
6.209 3.357 0.000 Zr
6.277 0.503 1.966 Zr
6.277 0.503 6.034 Zr
7.767 5.782 1.966 Zr
7.767 5.782 6.034 Zr
7.835 8.636 0.000 Zr
0.383 6.485 0.000 Ge
0.415 6.460 4.000 Ge
1.238 9.490 0.000 Ge
1.266 9.545 4.000 Ge
1.466 1.927 2.786 Ge
1.466 1.927 5.214 Ge
3.215 7.206 2.786 Ge
3.215 7.206 5.214 Ge
3.415 4.266 4.000 Ge
3.444 4.211 0.000 Ge
4.267 1.181 4.000 Ge
4.298 1.206 0.000 Ge
5.064 9.352 0.000 Ge
5.096 9.376 4.000 Ge
5.919 6.347 0.000 Ge
5.948 6.292 4.000 Ge
6.147 3.351 2.786 Ge
6.147 3.351 5.214 Ge
7.897 8.630 2.786 Ge
7.897 8.630 5.214 Ge
8.097 1.013 4.000 Ge
8.125 1.068 0.000 Ge
8.948 4.098 4.000 Ge
8.980 4.073 0.000 Ge
0.000 0.000 1.991 Rh
0.000 0.000 6.010 Rh
0.902 7.881 2.016 Rh
0.902 7.881 5.984 Rh
3.780 2.602 2.016 Rh
3.780 2.602 5.984 Rh
4.681 5.279 1.991 Rh
4.681 5.279 6.010 Rh
5.583 7.956 2.016 Rh
5.583 7.956 5.984 Rh
8.461 2.677 2.016 Rh
8.461 2.677 5.984 Rh
```

Summary:
Symmetry = Pbam, No. 55
ρ = 8.552 g/cm³


Crystalline ZrGeRh at its relaxed geometry. Source: Materials Project, functional r²SCAN.

The structure in POSCAR format:
```
ZrGeRh
1.0
6.633 0.000 0.000
0.000 3.997 0.000
0.000 0.000 7.573
Zr Ge Rh
4 4 4
Cartesian
0.140 0.999 1.454 Zr
3.177 2.998 5.240 Zr
3.456 0.999 2.333 Zr
6.493 2.998 6.119 Zr
1.549 2.998 2.921 Ge
1.767 0.999 6.707 Ge
4.866 2.998 0.866 Ge
5.084 0.999 4.652 Ge
0.961 0.999 4.294 Rh
2.356 2.998 0.507 Rh
4.277 0.999 7.065 Rh
5.672 2.998 3.279 Rh
```

Summary:
Symmetry = Pnma, No. 62
ρ = 8.825 g/cm³


Crystalline GeRu at its relaxed geometry. Source: Materials Project, functional r²SCAN.

The structure in POSCAR format:
```
GeRu
1.0
4.857 0.000 0.000
0.000 4.857 0.000
0.000 0.000 4.857
Ge Ru
4 4
Cartesian
0.418 0.418 0.418 Ge
2.011 4.440 2.847 Ge
2.847 2.011 4.440 Ge
4.440 2.847 2.011 Ge
0.595 3.024 4.262 Ru
1.834 1.834 1.834 Ru
3.024 4.262 0.595 Ru
4.262 0.595 3.024 Ru
```

Summary:
Symmetry = P2_13, No. 198
ρ = 10.068 g/cm³


Crystalline Ge3Ru2 at its relaxed geometry. Source: Materials Project, functional r²SCAN.

The structure in POSCAR format:
```
Ge3Ru2
1.0
5.739 0.000 0.000
0.000 5.739 0.000
0.000 0.000 9.280
Ge Ru
12 8
Cartesian
0.870 1.245 0.000 Ge
0.870 4.494 4.640 Ge
1.617 2.001 6.229 Ge
1.617 3.738 1.589 Ge
1.877 0.997 3.114 Ge
1.877 4.742 7.754 Ge
3.862 0.997 7.754 Ge
3.862 4.742 3.114 Ge
4.122 2.001 1.589 Ge
4.122 3.738 6.229 Ge
4.869 1.245 4.640 Ge
4.869 4.494 0.000 Ge
0.000 0.000 1.944 Ru
0.000 0.000 6.584 Ru
0.000 2.870 3.118 Ru
0.000 2.870 7.758 Ru
2.870 0.000 0.799 Ru
2.870 0.000 5.438 Ru
2.870 2.870 4.292 Ru
2.870 2.870 8.932 Ru
```

Summary:
E above lowest polymorph = 0.006 eV/atom
Symmetry = Pcc2, No. 27
ρ = 9.129 g/cm³


Crystalline Ge3Ru2 at its relaxed geometry. Source: Materials Project, functional r²SCAN.

The structure in POSCAR format:
```
Ge3Ru2
1.0
11.465 0.000 0.000
0.000 9.253 0.000
0.000 0.000 5.728
Ge Ru
24 16
Cartesian
0.850 1.988 0.243 Ge
0.850 7.265 3.107 Ge
1.533 3.683 3.426 Ge
1.533 5.570 0.562 Ge
2.012 0.612 2.366 Ge
2.012 8.641 5.230 Ge
3.721 4.015 5.230 Ge
3.721 5.238 2.366 Ge
4.200 0.944 0.562 Ge
4.200 8.309 3.426 Ge
4.882 2.638 3.107 Ge
4.882 6.615 0.243 Ge
6.583 2.638 5.485 Ge
6.583 6.615 2.621 Ge
7.265 0.944 2.302 Ge
7.265 8.309 5.166 Ge
7.745 4.015 3.362 Ge
7.745 5.238 0.498 Ge
9.453 0.612 0.498 Ge
9.453 8.641 3.362 Ge
9.932 3.683 5.166 Ge
9.932 5.570 2.302 Ge
10.615 1.988 2.621 Ge
10.615 7.265 5.485 Ge
0.000 0.396 4.296 Ru
0.000 3.940 1.432 Ru
0.000 5.313 4.296 Ru
0.000 8.856 1.432 Ru
2.822 1.736 4.350 Ru
2.822 7.516 1.486 Ru
2.911 2.890 1.486 Ru
2.911 6.363 4.350 Ru
5.733 0.686 4.296 Ru
5.733 4.230 1.432 Ru
5.733 5.023 4.296 Ru
5.733 8.566 1.432 Ru
8.554 2.890 1.378 Ru
8.554 6.363 4.242 Ru
8.644 1.736 4.242 Ru
8.644 7.516 1.378 Ru
```

Summary:
E above lowest polymorph = 0.000 eV/atom
Symmetry = Pbcn, No. 60
ρ = 9.183 g/cm³


Crystalline Sm2Ge2Ru at its relaxed geometry. Source: Materials Project, functional r²SCAN.

The structure in POSCAR format:
```
Sm2Ge2Ru
1.0
5.513 -2.161 0.000
5.513 2.161 0.000
-5.074 0.000 9.101
Sm Ge Ru
4 4 2
Cartesian
-0.861 0.000 1.578 Sm
-1.057 0.000 5.549 Sm
7.009 0.000 3.553 Sm
6.814 0.000 7.524 Sm
-0.902 0.000 8.499 Ge
2.274 0.000 5.706 Ge
3.678 0.000 3.396 Ge
6.855 0.000 0.602 Ge
2.376 0.000 1.135 Ru
3.576 0.000 7.967 Ru
```

Summary:
Symmetry = C2/m, No. 12
ρ = 8.379 g/cm³


Crystalline Sm3Ge4Ru2 at its relaxed geometry. Source: Materials Project, functional r²SCAN.

The structure in POSCAR format:
```
Sm3Ge4Ru2
1.0
5.477 -2.172 0.000
5.477 2.172 0.000
-2.719 0.000 7.811
Sm Ge Ru
3 4 2
Cartesian
0.000 0.000 0.000 Sm
3.337 0.000 2.369 Sm
4.899 0.000 5.442 Sm
0.004 0.000 3.149 Ge
0.647 0.000 7.181 Ge
7.590 0.000 0.629 Ge
8.233 0.000 4.662 Ge
1.711 0.000 4.990 Ru
6.526 0.000 2.821 Ru
```

Summary:
Symmetry = C2/m, No. 12
ρ = 8.432 g/cm³


Crystalline Sm2Ge5Ru3 at its relaxed geometry. Source: Materials Project, functional r²SCAN.

The structure in POSCAR format:
```
Sm2Ge5Ru3
1.0
-4.948 6.220 2.908
4.948 -6.220 2.908
4.948 6.220 -2.908
Sm Ge Ru
4 10 6
Cartesian
2.288 1.709 0.000 Sm
2.288 -1.709 2.908 Sm
2.660 7.929 0.000 Sm
2.660 4.511 2.908 Sm
4.948 -2.604 1.454 Ge
6.646 1.129 0.000 Ge
0.000 0.000 1.454 Ge
1.698 5.090 0.000 Ge
4.948 2.604 1.454 Ge
0.000 3.616 1.454 Ge
3.250 1.129 2.908 Ge
0.000 0.000 4.362 Ge
-1.698 5.090 2.908 Ge
0.000 8.824 1.454 Ge
4.026 -4.400 2.908 Ru
4.948 0.000 1.454 Ru
4.026 4.400 0.000 Ru
0.922 1.820 2.908 Ru
0.000 6.220 1.454 Ru
0.922 10.620 0.000 Ru
```

Summary:
Symmetry = Ibam, No. 72
ρ = 8.973 g/cm³


Crystalline SmGe2Ru2 at its relaxed geometry. Source: Materials Project, functional r²SCAN.

The structure in POSCAR format:
```
SmGe2Ru2
1.0
-2.129 2.129 4.972
2.129 -2.129 4.972
2.129 2.129 -4.972
Sm Ge Ru
1 2 2
Cartesian
0.000 0.000 0.000 Sm
0.000 0.000 3.655 Ge
0.000 0.000 6.290 Ge
2.129 0.000 2.486 Ru
0.000 2.129 2.486 Ru
```

Summary:
Symmetry = I4/mmm, No. 139
ρ = 9.171 g/cm³


Crystalline TbGeRu at its relaxed geometry. Source: Materials Project, functional r²SCAN.

The structure in POSCAR format:
```
TbGeRu
1.0
7.062 0.000 0.000
0.000 4.448 0.000
0.000 0.000 7.137
Tb Ge Ru
4 4 4
Cartesian
0.136 1.112 1.364 Tb
3.396 3.336 4.933 Tb
3.667 1.112 2.204 Tb
6.927 3.336 5.773 Tb
1.413 1.112 4.329 Ge
2.119 3.336 0.760 Ge
4.944 1.112 6.376 Ge
5.650 3.336 2.808 Ge
1.079 3.336 3.106 Ru
2.452 1.112 6.674 Ru
4.610 3.336 0.463 Ru
5.983 1.112 4.031 Ru
```

Summary:
Symmetry = Pnma, No. 62
ρ = 9.854 g/cm³


Crystalline Tb3Ge3Ru2 at its relaxed geometry. Source: Materials Project, functional r²SCAN.

The structure in POSCAR format:
```
Tb3Ge3Ru2
1.0
2.125 -5.435 0.000
2.125 5.435 0.000
0.000 0.000 13.962
Tb Ge Ru
6 6 4
Cartesian
2.125 4.574 8.555 Tb
2.125 4.574 12.388 Tb
2.125 1.588 10.471 Tb
2.125 -1.588 3.490 Tb
2.125 -4.574 1.574 Tb
2.125 -4.574 5.407 Tb
2.125 1.805 3.490 Ge
2.125 1.283 7.548 Ge
2.125 1.283 13.395 Ge
2.125 -1.283 0.567 Ge
2.125 -1.283 6.414 Ge
2.125 -1.805 10.471 Ge
2.125 3.110 1.138 Ru
2.125 3.110 5.842 Ru
2.125 -3.110 8.119 Ru
2.125 -3.110 12.823 Ru
```

Summary:
Symmetry = Cmcm, No. 63
ρ = 9.235 g/cm³


Crystalline ThGe2Ru2 at its relaxed geometry. Source: Materials Project, functional r²SCAN.

The structure in POSCAR format:
```
ThGe2Ru2
1.0
-2.145 2.145 4.959
2.145 -2.145 4.959
2.145 2.145 -4.959
Th Ge Ru
1 2 2
Cartesian
0.000 0.000 0.000 Th
0.000 0.000 3.655 Ge
0.000 0.000 6.263 Ge
2.145 0.000 2.480 Ru
0.000 2.145 2.480 Ru
```

Summary:
Symmetry = I4/mmm, No. 139
ρ = 10.542 g/cm³


Calculated values (meV/atom) of formation energy for the records, taken in order: -754; -1012; -271; -327; -333; -842; -814; -696; -727; -779; -853; -750.